Arrangement P

Entry from the Materials Project database: KCo after structural relaxation (GGA-PBE).

Results
Calculated volume: 29.0 Å³/atom
Crystal system: orthorhombic

The structure in POSCAR format:
```
KCo
1.0
0.000 -3.700 0.000
-5.719 0.000 0.000
2.860 1.850 -5.475
K Co
2 2
Cartesian
-2.860 -2.775 -1.666
0.000 0.925 -3.808
-2.860 -0.925 -4.875
0.000 -0.925 -0.599
```

Arrangement Q

Entry from the Materials Project database: KCo after structural relaxation (GGA-PBE).

Results
Calculated volume: 29.0 Å³/atom
Crystal system: orthorhombic

The structure in POSCAR format:
```
KCo
1.0
2.008 2.361 2.020
-6.654 -1.648 8.538
3.316 -4.318 1.751
Co K
4 4
Cartesian
2.515 -4.044 3.922
-1.459 -1.538 8.329
-3.199 -2.890 8.249
-0.518 1.264 4.119
-0.496 -2.258 4.825
2.492 -0.522 3.215
-3.456 -0.421 5.620
-1.202 -4.007 10.958
```

Which one sits at the top of the stability order? arrangement P does.

Arrangement P

Entry from the Materials Project database: LaMg6Co after structural relaxation (GGA-PBE).

Results
Calculated volume: 22.8 Å³/atom
Crystal system: orthorhombic

The structure in POSCAR format:
```
LaMg6Co
1.0
-5.019 -2.863 3.199
3.057 -3.021 -5.015
3.156 -2.022 3.142
Mg Co La
6 1 1
Cartesian
-2.143 -3.899 3.450
-0.519 -5.478 0.803
0.506 -2.405 1.751
-2.361 -2.915 0.495
0.074 -1.390 -0.969
-0.968 -4.515 -1.934
1.735 -2.995 -3.671
2.138 -3.983 -0.904
```

Arrangement Q

Entry from the Materials Project database: LaMg6Co after structural relaxation (GGA-PBE).

Results
Calculated volume: 23.1 Å³/atom

The structure in POSCAR format:
```
LaMg6Co
1.0
4.962 0.000 0.000
0.000 5.779 0.000
0.000 0.000 12.883
La Mg Co
2 12 2
Cartesian
2.481 0.000 8.922
2.481 2.890 2.480
2.481 1.458 5.696
2.481 4.322 5.696
2.481 4.347 12.138
2.481 1.432 12.138
0.000 2.890 4.598
0.000 4.382 0.986
0.000 2.890 10.118
0.000 1.493 7.427
0.000 4.287 7.427
0.000 0.000 11.040
0.000 0.000 3.677
0.000 1.397 0.986
2.481 2.890 8.087
2.481 0.000 1.646
```

Which one sits at the top of the stability order? arrangement Q does.

Arrangement P

Entry from the Materials Project database: LiCoS2 after structural relaxation (GGA-PBE).

Results
Calculated volume: 14.3 Å³/atom
Crystal system: monoclinic

The structure in POSCAR format:
```
LiCoS2
1.0
-2.839 -0.811 1.701
0.347 -5.327 -1.961
3.244 -1.518 4.691
S Co Li
4 2 2
Cartesian
-0.172 -2.568 3.615
-0.369 -1.402 0.416
1.121 -6.254 4.015
0.924 -5.088 0.816
-1.316 -0.987 2.447
1.721 -1.342 3.945
1.874 -4.012 2.977
-1.121 -3.645 1.454
```

Arrangement Q

Entry from the Materials Project database: LiCoS2 after structural relaxation (GGA-PBE).

Results
Calculated volume: 15.7 Å³/atom
Crystal system: trigonal

The structure in POSCAR format:
```
LiCoS2
1.0
-4.103 4.270 2.717
-4.997 4.141 -0.580
-6.081 1.724 1.581
Li S Co
1 2 1
Cartesian
-12.979 8.666 3.179
-11.014 7.354 2.697
-4.064 2.714 0.995
-15.159 10.122 3.713
```

Which one sits at the top of the stability order? arrangement P does.

Arrangement P

Entry from the Materials Project database: LiCoS2 after structural relaxation (GGA-PBE).

Results
Calculated volume: 14.4 Å³/atom
Crystal system: trigonal

The structure in POSCAR format:
```
LiCoS2
1.0
1.712 -2.966 0.000
1.712 2.966 0.000
0.000 0.000 5.673
S Co Li
2 1 1
Cartesian
1.712 0.989 3.980
1.712 -0.989 1.693
0.000 0.000 2.837
0.000 0.000 0.000
```

Arrangement Q

Entry from the Materials Project database: LiCoS2 after structural relaxation (GGA-PBE).

Results
Calculated volume: 14.3 Å³/atom
Crystal system: cubic

The structure in POSCAR format:
```
LiCoS2
1.0
0.000 4.852 4.852
4.852 0.000 4.852
4.852 4.852 0.000
S Co Li
8 4 4
Cartesian
5.919 3.785 5.919
6.211 6.211 8.345
8.345 6.211 6.211
3.785 3.785 3.785
8.345 8.345 8.345
5.919 5.919 3.785
3.785 5.919 5.919
6.211 8.345 6.211
3.639 6.065 3.639
6.065 6.065 6.065
3.639 3.639 6.065
6.065 3.639 3.639
1.213 1.213 1.213
3.639 3.639 1.213
3.639 1.213 3.639
1.213 3.639 3.639
```

Which one sits at the top of the stability order? arrangement P does.